The following is a PBE-GGA calculation of a geometry-optimized TbBr structure, from the Materials Project database.

Values from the calculation:
* DFT formation energy: -1.492 eV per atom
* calculated volume: 137.5 Å³ per cell
* crystal system: trigonal
* E: -4.361 eV/atom

Lattice parameters (Å, degrees): 11.0025 11.0025 11.0025 20.09 20.09 20.09
With the nearest neighbours (Å) after each atom.
Element x y z (fractional)
1 Br 0.3973 0.3973 0.3973  3 Tb 2.93
2 Br 0.6027 0.6027 0.6027  3 Tb 2.93
3 Tb 0.1235 0.1235 0.1235  3 Br 2.93
4 Tb 0.8765 0.8765 0.8765  3 Br 2.93

***

The following is a PBE-GGA calculation of a geometry-optimized Tl5Te2Br structure, from the Materials Project database.

Values from the calculation:
* DFT formation energy: -0.512 eV per atom
* calculated volume: 564.6 Å³ per cell
* crystal system: tetragonal
* E: -2.913 eV/atom

Lattice parameters (Å, degrees): 9.3133 9.3133 9.3133 120.74 120.74 88.72
With the nearest neighbours (Å) after each atom.
Element x y z (fractional)
1 Tl 0.0036 0.5036 0.2059  3 Te 3.26-3.44
2 Tl 0.2022 0.9964 0.5000  3 Te 3.26-3.44
3 Tl 0.4964 0.7022 0.5000  3 Te 3.26-3.44
4 Tl 0.7022 0.2022 0.2059  3 Te 3.26-3.44
5 Tl 0.2978 0.7978 0.7941  3 Te 3.26-3.44
6 Tl 0.5036 0.2978 0.5000  3 Te 3.26-3.44
7 Tl 0.5000 0.5000 0.0000  2 Br 3.33, 4 Te 3.48
8 Tl 0.9964 0.4964 0.7941  3 Te 3.26-3.44
9 Tl 0.7978 0.0036 0.5000  3 Te 3.26-3.44
10 Tl 0.0000 0.0000 0.0000  2 Br 3.33, 4 Te 3.48
11 Te 0.3439 0.8439 0.1878  8 Tl 3.26-3.48
12 Te 0.6561 0.1561 0.8122  8 Tl 3.26-3.48
13 Te 0.1561 0.3439 0.5000  8 Tl 3.26-3.48
14 Te 0.8439 0.6561 0.5000  8 Tl 3.26-3.48
15 Br 0.7500 0.7500 0.0000  2 Tl 3.33
16 Br 0.2500 0.2500 0.0000  2 Tl 3.33

***

The following is a PBE-GGA calculation of a geometry-optimized UTe4Br5 structure, from the Materials Project database.

Values from the calculation:
* DFT formation energy: -0.945 eV per atom
* calculated volume: 1527.5 Å³ per cell
* crystal system: triclinic
* E: -3.882 eV/atom

Lattice parameters (Å, degrees): 9.1041 12.5428 14.0962 80.69 77.01 78.95
With the nearest neighbours (Å) after each atom.
Element x y z (fractional)
1 U 0.5849 0.2811 0.7623  7 Br 2.70-2.99
2 U 0.1315 0.1955 0.6951  7 Br 2.71-2.98
3 U 0.8685 0.8045 0.3049  7 Br 2.71-2.98
4 U 0.4151 0.7189 0.2377  7 Br 2.70-2.99
5 Te 0.7244 0.3567 0.2955  3 Te 2.79-2.95
6 Te 0.4997 0.1539 0.1839  2 Te 2.64-2.94
7 Te 0.1718 0.6739 0.9066  2 Te 2.70-2.86
8 Te 0.1195 0.3920 0.3038  2 Te 2.73-2.82
9 Te 0.0756 0.1735 0.1138  2 Te 2.70-2.82
10 Te 0.8805 0.6080 0.6962  2 Te 2.73-2.82
11 Te 0.5034 0.7919 0.6419  2 Te 2.64-2.95
12 Te 0.9244 0.8265 0.8862  2 Te 2.70-2.82
13 Te 0.8282 0.3261 0.0934  2 Te 2.70-2.86
14 Te 0.9600 0.2234 0.3757  2 Te 2.73-2.79
15 Te 0.2756 0.6433 0.7045  3 Te 2.79-2.95
16 Te 0.2627 0.3265 0.1186  3 Te 2.82-2.94
17 Te 0.7373 0.6735 0.8814  3 Te 2.82-2.94
18 Te 0.5003 0.8461 0.8161  2 Te 2.64-2.94
19 Te 0.0400 0.7766 0.6243  2 Te 2.73-2.79
20 Te 0.4966 0.2081 0.3581  2 Te 2.64-2.95
21 Br 0.8657 0.3198 0.8198  2 U 2.98-2.99
22 Br 0.5512 0.1359 0.9297  1 U 2.73
23 Br 0.4693 0.1468 0.6523  2 U 2.93-2.96
24 Br 0.8776 0.6214 0.4362  1 U 2.71
25 Br 0.8451 0.1240 0.6812  2 U 2.92-2.97
26 Br 0.7523 0.6750 0.1891  2 U 2.95
27 Br 0.3728 0.5830 0.4076  1 U 2.70
28 Br 0.6272 0.4170 0.5924  1 U 2.70
29 Br 0.1343 0.6802 0.1802  2 U 2.98-2.99
30 Br 0.5025 0.4809 0.8568  1 U 2.92
31 Br 0.1549 0.8760 0.3188  2 U 2.92-2.97
32 Br 0.8527 0.9755 0.1538  1 U 2.77
33 Br 0.1224 0.3786 0.5638  1 U 2.71
34 Br 0.1473 0.0245 0.8462  1 U 2.77
35 Br 0.7917 0.9261 0.4666  1 U 2.83
36 Br 0.2083 0.0739 0.5334  1 U 2.83
37 Br 0.4488 0.8641 0.0703  1 U 2.73
38 Br 0.4975 0.5191 0.1432  1 U 2.92
39 Br 0.5307 0.8532 0.3477  2 U 2.93-2.96
40 Br 0.2477 0.3250 0.8109  2 U 2.95